This record from Materials Project describes a geometry-optimized Te2Pd structure. The functional is PBE.

Cell and atoms, written as POSCAR:
```
Te2Pd
1.0
4.1163 0.0000 0.0000
-2.0582 3.5648 0.0000
0.0000 0.0000 5.1707
Te Pd
2 1
direct
0.3333 0.6667 0.2630
0.6667 0.3333 0.7370
0.0000 0.0000 0.0000
```

Summary:
uncorrected energy: -0.3055 Ry/atom
crystal system: trigonal
space group: P-3m1